1.
Here is a relaxed structure of NdCu5 from Materials Project. Energies are from r2SCAN.

Values from the calculation:
Calculated formation energy: -162 meV/atom
Total moment: 0.0 μB/f.u.
Total energy: -84.623 eV/cell

Unit cell a=5.0672 b=5.0672 c=4.0684 alpha=90.00 beta=90.00 gamma=120.00
Space group P6/mmm (No. 191)
Asymmetric unit:
Nd 0.0000 0.0000 0.0000 [1 per cell]
Cu 0.0000 0.5000 0.5000 [3 per cell]
Cu 0.3333 0.6667 0.0000 [2 per cell]

2.
Here is a relaxed structure of HoAsPd from Materials Project. Energies are from r2SCAN.

Values from the calculation:
Calculated formation energy: -1309 meV/atom
Total moment: 0.0 μB/f.u.
Total energy: -297.901 eV/cell

Unit cell a=7.0284 b=4.0950 c=7.8937 alpha=90.00 beta=90.00 gamma=90.00
Space group Pnma (No. 62)
Asymmetric unit:
Ho 0.0320 0.2500 0.1925 [4 per cell]
As 0.2461 0.2500 0.8798 [4 per cell]
Pd 0.1427 0.2500 0.5632 [4 per cell]